No. 1
## Yb2Ge6Pt (r2SCAN)

Data for a relaxed structure of Yb2Ge6Pt.

abc: 3.9839 4.0389 11.0388
angles: 90.00 100.40 90.00
Atoms (fractional coordinates):
Ge (0.4619, 0.5000, 0.9237)
Ge (0.5994, 0.0000, 0.1989)
Ge (0.7132, 0.0000, 0.4264)
Ge (0.8910, 0.5000, 0.7819)
Ge (0.0978, 0.5000, 0.1957)
Pt (0.7805, 0.5000, 0.5609)
Yb (0.9993, 0.0000, 0.9986)
Yb (0.3370, 0.0000, 0.6740)
Ge (0.2119, 0.5000, 0.4238)

total magnetic moment: 0.000 μB/f.u.
energy of formation from the pure elements: -51 kJ per mole of atoms
SG: Amm2

No. 2
## PrDyIn2 (r2SCAN)

Data for a relaxed structure of PrDyIn2.

abc: 5.4021 5.4021 5.4021
angles: 60.00 60.00 60.00
Atoms (fractional coordinates):
Dy (0.5000, 0.5000, 0.5000)
In (0.7500, 0.7500, 0.7500)
In (0.2500, 0.2500, 0.2500)
Pr (0.0000, 0.0000, 0.0000)

total magnetic moment: 0.000 μB/f.u.
energy of formation from the pure elements: -58 kJ per mole of atoms
SG: Fm-3m

No. 3
## Y9Al5S21 (r2SCAN)

Data for a relaxed structure of Y9Al5S21.

abc: 11.4051 11.4051 11.4051
angles: 94.11 94.11 94.11
Atoms (fractional coordinates):
S (0.1875, 0.6158, 0.7024)
S (0.6158, 0.7024, 0.1875)
Al (0.3220, 0.3220, 0.3220)
S (0.2171, 0.1316, 0.6465)
S (0.8454, 0.6189, 0.7150)
S (0.6465, 0.2171, 0.1316)
S (0.5859, 0.4445, 0.6876)
S (0.9373, 0.0370, 0.5233)
Y (0.2625, 0.1186, 0.8853)
S (0.2365, 0.1060, 0.3328)
S (0.2813, 0.3719, 0.8422)
S (0.0560, 0.2006, 0.9573)
S (0.3770, 0.5093, 0.2708)
Y (0.4147, 0.5667, 0.7919)
Al (0.7763, 0.1167, 0.4518)
S (0.6876, 0.5859, 0.4445)
Y (0.2335, 0.6031, 0.4492)
Y (0.0703, 0.2256, 0.4548)
S (0.6189, 0.7150, 0.8454)
S (0.5093, 0.2708, 0.3770)
S (0.2006, 0.9573, 0.0560)
S (0.0370, 0.5233, 0.9373)
S (0.1609, 0.8281, 0.4911)
S (0.3719, 0.8422, 0.2813)
Y (0.1186, 0.8853, 0.2625)
Al (0.2799, 0.9525, 0.6123)
S (0.2708, 0.3770, 0.5093)
S (0.4911, 0.1609, 0.8281)
Y (0.5667, 0.7919, 0.4147)
S (0.7024, 0.1875, 0.6158)
Y (0.1255, 0.7552, 0.9012)
S (0.5531, 0.4603, 0.9919)
S (0.9573, 0.0560, 0.2006)
S (0.1316, 0.6465, 0.2171)
Y (0.4492, 0.2335, 0.6031)
S (0.4445, 0.6876, 0.5859)
S (0.9919, 0.5531, 0.4603)
S (0.9922, 0.3271, 0.6610)
Al (0.4518, 0.7763, 0.1167)
S (0.3090, 0.8940, 0.7953)
S (0.6610, 0.9922, 0.3271)
S (0.3271, 0.6610, 0.9922)
Y (0.7552, 0.9012, 0.1255)
Y (0.7919, 0.4147, 0.5667)
Y (0.6031, 0.4492, 0.2335)
S (0.5233, 0.9373, 0.0370)
Y (0.4548, 0.0703, 0.2256)
Y (0.2256, 0.4548, 0.0703)
Y (0.7760, 0.5463, 0.9312)
Al (0.8230, 0.8230, 0.8230)
Al (0.9525, 0.6123, 0.2799)
Al (0.6410, 0.6410, 0.6410)
S (0.8281, 0.4911, 0.1609)
S (0.8970, 0.7616, 0.0001)
Y (0.5463, 0.9312, 0.7760)
S (0.3328, 0.2365, 0.1060)
Y (0.9012, 0.1255, 0.7552)
S (0.8422, 0.2813, 0.3719)
Al (0.1167, 0.4518, 0.7763)
S (0.7150, 0.8454, 0.6189)
Al (0.1396, 0.1396, 0.1396)
S (0.0001, 0.8970, 0.7616)
S (0.7953, 0.3090, 0.8940)
Y (0.9312, 0.7760, 0.5463)
S (0.4603, 0.9919, 0.5531)
S (0.1060, 0.3328, 0.2365)
S (0.7616, 0.0001, 0.8970)
Al (0.6123, 0.2799, 0.9525)
Y (0.8853, 0.2625, 0.1186)
S (0.8940, 0.7953, 0.3090)

total magnetic moment: 0.000 μB/f.u.
energy of formation from the pure elements: -192 kJ per mole of atoms
SG: R3

Total DFT energy (no corrections) values, unit eV/atom, following the record order: -23.612; -27.233; -12.991.